w:
Computed, not measured: a relaxed Na3NiN2 crystal at the PBE level of DFT.

Cell lengths 9.3178, 9.3178, 9.3178 Å; angles 109.47, 109.47, 109.47 degrees
Closest atoms and distances in Å follow each position.
Sites, in units of the cell vectors:
Na1 0.0160 0.7535 0.9535  3 N 2.26-2.51
Na2 0.0465 0.9840 0.2465  3 N 2.26-2.51
Na3 0.0625 0.5465 0.3000  3 N 2.26-2.51
Na4 0.2000 0.7465 0.7625  3 N 2.26-2.51
Na5 0.2375 0.8000 0.2535  3 N 2.26-2.51
Na6 0.2465 0.0465 0.9840  3 N 2.26-2.51
Na7 0.2535 0.2375 0.8000  3 N 2.26-2.51
Na8 0.2625 0.5160 0.5625  3 N 2.26-2.51
Na9 0.3000 0.0625 0.5465  3 N 2.26-2.51
Na10 0.4375 0.7375 0.4840  3 N 2.26-2.51
Na11 0.4535 0.7000 0.9375  3 N 2.26-2.51
Na12 0.4840 0.4375 0.7375  3 N 2.26-2.51
Na13 0.5160 0.5625 0.2625  3 N 2.26-2.51
Na14 0.5465 0.3000 0.0625  3 N 2.26-2.51
Na15 0.5625 0.2625 0.5160  3 N 2.26-2.51
Na16 0.7000 0.9375 0.4535  3 N 2.26-2.51
Na17 0.7375 0.4840 0.4375  3 N 2.26-2.51
Na18 0.7465 0.7625 0.2000  3 N 2.26-2.51
Na19 0.7535 0.9535 0.0160  3 N 2.26-2.51
Na20 0.7625 0.2000 0.7465  3 N 2.26-2.51
Na21 0.8000 0.2535 0.2375  3 N 2.26-2.51
Na22 0.9375 0.4535 0.7000  3 N 2.26-2.51
Na23 0.9535 0.0160 0.7535  3 N 2.26-2.51
Na24 0.9840 0.2465 0.0465  3 N 2.26-2.51
Ni1 0.0000 0.2031 0.5000  1 N 1.89
Ni2 0.0000 0.7969 0.5000  1 N 1.89
Ni3 0.2031 0.5000 0.0000  1 N 1.89
Ni4 0.2969 0.2969 0.2969  1 N 1.89
Ni5 0.5000 0.0000 0.2031  1 N 1.89
Ni6 0.5000 0.0000 0.7969  1 N 1.89
Ni7 0.7031 0.7031 0.7031  1 N 1.89
Ni8 0.7969 0.5000 0.0000  1 N 1.89
N1 0.0000 0.0000 0.5000  2 Ni 1.89
N2 0.0000 0.5000 0.0000  2 Ni 1.89
N3 0.0669 0.2500 0.3169  2 Ni 2.12, 4 Na 2.26-2.36
N4 0.1831 0.4331 0.7500  2 Ni 2.12, 4 Na 2.26-2.36
N5 0.2500 0.3169 0.0669  2 Ni 2.12, 4 Na 2.26-2.36
N6 0.2500 0.8169 0.5669  2 Ni 2.12, 4 Na 2.26-2.36
N7 0.3169 0.0669 0.2500  2 Ni 2.12, 4 Na 2.26-2.36
N8 0.4331 0.7500 0.1831  2 Ni 2.12, 4 Na 2.26-2.36
N9 0.5000 0.0000 0.0000  2 Ni 1.89
N10 0.5000 0.5000 0.5000  2 Ni 1.89
N11 0.5669 0.2500 0.8169  2 Ni 2.12, 4 Na 2.26-2.36
N12 0.6831 0.9331 0.7500  2 Ni 2.12, 4 Na 2.26-2.36
N13 0.7500 0.1831 0.4331  2 Ni 2.12, 4 Na 2.26-2.36
N14 0.7500 0.6831 0.9331  2 Ni 2.12, 4 Na 2.26-2.36
N15 0.8169 0.5669 0.2500  2 Ni 2.12, 4 Na 2.26-2.36
N16 0.9331 0.7500 0.6831  2 Ni 2.12, 4 Na 2.26-2.36

Summary:
* total magnetization: 4.23 μB per cell
* crystal system: cubic


x:
Computed, not measured: a relaxed Na3NiN2 crystal at the PBE level of DFT.

Cell lengths 8.4428, 8.4428, 8.4428 Å; angles 123.49, 123.49, 84.05 degrees
Closest atoms and distances in Å follow each position.
Sites, in units of the cell vectors:
Na1 0.0841 0.3341 0.1682  4 N 2.56-2.65
Na2 0.0841 0.9159 0.7500  4 N 2.56-2.65
Na3 0.2590 0.5090 0.7500  2 N 2.34
Na4 0.3341 0.0841 0.6682  4 N 2.56-2.65
Na5 0.3341 0.6659 0.2500  4 N 2.56-2.65
Na6 0.4910 0.7410 0.7500  2 N 2.34
Na7 0.5090 0.2590 0.2500  2 N 2.34
Na8 0.6659 0.3341 0.7500  4 N 2.56-2.65
Na9 0.6659 0.9159 0.3318  4 N 2.56-2.65
Na10 0.7410 0.4910 0.2500  2 N 2.34
Na11 0.9159 0.0841 0.2500  4 N 2.56-2.65
Na12 0.9159 0.6659 0.8318  4 N 2.56-2.65
Ni1 0.0344 0.2844 0.7500  2 N 1.69
Ni2 0.2844 0.0344 0.2500  2 N 1.69
Ni3 0.7156 0.9656 0.7500  2 N 1.69
Ni4 0.9656 0.7156 0.2500  2 N 1.69
N1 0.1723 0.7109 0.4614  1 Ni 1.69
N2 0.2505 0.2891 0.9614  1 Ni 1.69
N3 0.2891 0.2505 0.4614  1 Ni 1.69
N4 0.2891 0.8277 0.0386  1 Ni 1.69
N5 0.7109 0.1723 0.9614  1 Ni 1.69
N6 0.7109 0.7495 0.5386  1 Ni 1.69
N7 0.7495 0.7109 0.0386  1 Ni 1.69
N8 0.8277 0.2891 0.5386  1 Ni 1.69

Summary:
* total magnetization: 2.20 μB per cell
* crystal system: tetragonal


Result of the stability comparison: x is the most stable of them.


w:
Computed, not measured: a relaxed Na3YN2 crystal at the PBE level of DFT.

Cell lengths 7.2605, 12.4120, 6.5653 Å; angles 90.00, 114.67, 90.00 degrees
Closest atoms and distances in Å follow each position.
Sites, in units of the cell vectors:
Na1 0.0355 0.1893 0.2172  1 N 2.44
Na2 0.0355 0.3107 0.7172  1 N 2.44
Na3 0.2221 0.0733 0.6843  3 N 2.45-2.52
Na4 0.2221 0.4267 0.1843  3 N 2.45-2.52
Na5 0.3268 0.5371 0.7769  4 N 2.59-2.80
Na6 0.3268 0.9629 0.2769  4 N 2.59-2.80
Na7 0.6732 0.0371 0.7231  4 N 2.59-2.80
Na8 0.6732 0.4629 0.2231  4 N 2.59-2.80
Na9 0.7779 0.5733 0.8157  3 N 2.45-2.52
Na10 0.7779 0.9267 0.3157  3 N 2.45-2.52
Na11 0.9645 0.6893 0.2828  1 N 2.44
Na12 0.9645 0.8107 0.7828  1 N 2.44
Y1 0.4809 0.7009 0.2784  3 N 2.21-2.24
Y2 0.4809 0.7991 0.7784  3 N 2.21-2.24
Y3 0.5191 0.2009 0.2216  3 N 2.21-2.24
Y4 0.5191 0.2991 0.7216  3 N 2.21-2.24
N1 0.3928 0.1669 0.4680  2 Y 2.21-2.24, 1 Na 2.44
N2 0.3928 0.3331 0.9680  2 Y 2.21-2.24, 1 Na 2.44
N3 0.4805 0.5455 0.4510  1 N 1.27
N4 0.4805 0.9545 0.9510  1 N 1.27
N5 0.5195 0.0455 0.0490  1 N 1.27
N6 0.5195 0.4545 0.5490  1 N 1.27
N7 0.6072 0.6669 0.0320  2 Y 2.21-2.24, 1 Na 2.44
N8 0.6072 0.8331 0.5320  2 Y 2.21-2.24, 1 Na 2.44

Summary:
* total magnetization: 0.88 μB per cell
* crystal system: monoclinic


x:
Computed, not measured: a relaxed Na3YN2 crystal at the PBE level of DFT.

Cell lengths 10.0612, 10.0612, 10.0612 Å; angles 109.47, 109.47, 109.47 degrees
Closest atoms and distances in Å follow each position.
Sites, in units of the cell vectors:
Na1 0.0118 0.5478 0.7782  4 N 2.56-2.64, 4 Na 2.75-2.77
Na2 0.0360 0.7696 0.0478  4 N 2.56-2.64, 4 Na 2.75-2.77
Na3 0.0478 0.0360 0.7696  4 N 2.56-2.64, 4 Na 2.75-2.77
Na4 0.2218 0.9882 0.4522  4 N 2.56-2.64, 4 Na 2.75-2.77
Na5 0.2304 0.9522 0.9640  4 N 2.56-2.64, 4 Na 2.75-2.77
Na6 0.2336 0.7218 0.2696  4 N 2.56-2.64, 4 Na 2.75-2.77
Na7 0.2664 0.5360 0.4882  4 N 2.56-2.64, 4 Na 2.75-2.77
Na8 0.2696 0.2336 0.7218  4 N 2.56-2.64, 4 Na 2.75-2.77
Na9 0.2782 0.7304 0.7664  4 N 2.56-2.64, 4 Na 2.75-2.77
Na10 0.4522 0.2218 0.9882  4 N 2.56-2.64, 4 Na 2.75-2.77
Na11 0.4640 0.5118 0.7336  4 N 2.56-2.64, 4 Na 2.75-2.77
Na12 0.4882 0.2664 0.5360  4 N 2.56-2.64, 4 Na 2.75-2.77
Na13 0.5118 0.7336 0.4640  4 N 2.56-2.64, 4 Na 2.75-2.77
Na14 0.5360 0.4882 0.2664  4 N 2.56-2.64, 4 Na 2.75-2.77
Na15 0.5478 0.7782 0.0118  4 N 2.56-2.64, 4 Na 2.75-2.77
Na16 0.7218 0.2696 0.2336  4 N 2.56-2.64, 4 Na 2.75-2.77
Na17 0.7304 0.7664 0.2782  4 N 2.56-2.64, 4 Na 2.75-2.77
Na18 0.7336 0.4640 0.5118  4 N 2.56-2.64, 4 Na 2.75-2.77
Na19 0.7664 0.2782 0.7304  4 N 2.56-2.64, 4 Na 2.75-2.77
Na20 0.7696 0.0478 0.0360  4 N 2.56-2.64, 4 Na 2.75-2.77
Na21 0.7782 0.0118 0.5478  4 N 2.56-2.64, 4 Na 2.75-2.77
Na22 0.9522 0.9640 0.2304  4 N 2.56-2.64, 4 Na 2.75-2.77
Na23 0.9640 0.2304 0.9522  4 N 2.56-2.64, 4 Na 2.75-2.77
Na24 0.9882 0.4522 0.2218  4 N 2.56-2.64, 4 Na 2.75-2.77
Y1 0.0000 0.2694 0.5000  4 N 2.32-2.34
Y2 0.0000 0.7306 0.5000  4 N 2.32-2.34
Y3 0.2306 0.2306 0.2306  4 N 2.32-2.34
Y4 0.2694 0.5000 0.0000  4 N 2.32-2.34
Y5 0.5000 0.0000 0.2694  4 N 2.32-2.34
Y6 0.5000 0.0000 0.7306  4 N 2.32-2.34
Y7 0.7306 0.5000 0.0000  4 N 2.32-2.34
Y8 0.7694 0.7694 0.7694  4 N 2.32-2.34
N1 0.0000 0.0000 0.0000  2 Y 2.32
N2 0.0000 0.5000 0.5000  2 Y 2.32
N3 0.0387 0.2887 0.7500  2 Y 2.34, 2 Na 2.56
N4 0.2113 0.2500 0.4613  2 Y 2.34, 2 Na 2.56
N5 0.2500 0.4613 0.2113  2 Y 2.34, 2 Na 2.56
N6 0.2500 0.9613 0.7113  2 Y 2.34, 2 Na 2.56
N7 0.2887 0.7500 0.0387  2 Y 2.34, 2 Na 2.56
N8 0.4613 0.2113 0.2500  2 Y 2.34, 2 Na 2.56
N9 0.5000 0.0000 0.5000  2 Y 2.32
N10 0.5000 0.5000 0.0000  2 Y 2.32
N11 0.5387 0.7887 0.7500  2 Y 2.34, 2 Na 2.56
N12 0.7113 0.2500 0.9613  2 Y 2.34, 2 Na 2.56
N13 0.7500 0.0387 0.2887  2 Y 2.34, 2 Na 2.56
N14 0.7500 0.5387 0.7887  2 Y 2.34, 2 Na 2.56
N15 0.7887 0.7500 0.5387  2 Y 2.34, 2 Na 2.56
N16 0.9613 0.7113 0.2500  2 Y 2.34, 2 Na 2.56

Summary:
* total magnetization: 0.00 μB per cell
* crystal system: cubic


Result of the stability comparison: x is the most stable of them.